# 1
Computed, not measured: an optimized crystal structure of MnP4 at the PBE level of DFT.

Computed properties:
E_tot: -0.47564 Ry per atom
ΔH_f (0 K): -1.54 eV/f.u.
ρ: 4.0 Mg/m³

Cell lengths 13.6834, 4.7624, 7.0317 Å; angles 77.94, 90.00, 90.00 degrees
Element x y z (fractional)
Mn1 0.5000 0.0000 0.5000
Mn2 0.6658 0.8684 0.8693
Mn3 0.0000 0.0000 0.0000
Mn4 0.8342 0.8684 0.3693
Mn5 0.1658 0.1316 0.6307
Mn6 0.3342 0.1316 0.1307
P1 0.2746 0.9220 0.8734
P2 0.2254 0.9220 0.3734
P3 0.0523 0.7900 0.7500
P4 0.3861 0.7355 0.7013
P5 0.4477 0.7900 0.2500
P6 0.6088 0.6431 0.6403
P7 0.9436 0.6280 0.5667
P8 0.7792 0.5085 0.9581
P9 0.1139 0.7355 0.2013
P10 0.8912 0.6431 0.1403
P11 0.2792 0.4915 0.5419
P12 0.5564 0.6280 0.0667
P13 0.4436 0.3720 0.9333
P14 0.7208 0.5085 0.4581
P15 0.1088 0.3569 0.8597
P16 0.8861 0.2645 0.7987
P17 0.2208 0.4915 0.0419
P18 0.0564 0.3720 0.4333
P19 0.3912 0.3569 0.3597
P20 0.5523 0.2100 0.7500
P21 0.6139 0.2645 0.2987
P22 0.9477 0.2100 0.2500
P23 0.7746 0.0780 0.6266
P24 0.7254 0.0780 0.1266

=====

# 2
Computed, not measured: an optimized crystal structure of In2NiN2 at the PBE level of DFT.

Computed properties:
E_tot: -0.38453 Ry per atom
ΔH_f (0 K): 1.08 eV/f.u.
ρ: 7.8 Mg/m³

Cell lengths 3.3371, 3.3895, 11.8380 Å; angles 90.00, 90.00, 90.00 degrees
Element x y z (fractional)
In1 0.7500 0.7489 0.1034
In2 0.7500 0.7489 0.3966
In3 0.2500 0.2511 0.8966
In4 0.2500 0.2511 0.6034
Ni1 0.7500 0.8351 0.7500
Ni2 0.2500 0.1649 0.2500
N1 0.7500 0.7275 0.5920
N2 0.7500 0.7275 0.9080
N3 0.2500 0.2725 0.4080
N4 0.2500 0.2725 0.0920

=====

# 3
Computed, not measured: an optimized crystal structure of ScPd3C at the PBE level of DFT.

Computed properties:
E_tot: -0.47079 Ry per atom
ΔH_f (0 K): -0.93 eV/f.u.
ρ: 8.4 Mg/m³

Cell lengths 4.2124, 4.2124, 4.2124 Å; angles 90.00, 90.00, 90.00 degrees
Element x y z (fractional)
Sc1 0.0000 0.0000 0.0000
Pd1 0.0000 0.5000 0.5000
Pd2 0.5000 0.5000 0.0000
Pd3 0.5000 0.0000 0.5000
C1 0.5000 0.5000 0.5000

=====

# 4
Computed, not measured: an optimized crystal structure of Eu2NbSnO6 at the PBE level of DFT.

Computed properties:
E_tot: -0.64522 Ry per atom
ΔH_f (0 K): -27.60 eV/f.u.
ρ: 7.3 Mg/m³

Cell lengths 5.8068, 5.8068, 5.8068 Å; angles 60.00, 60.00, 60.00 degrees
Element x y z (fractional)
Eu1 0.2500 0.2500 0.2500
Eu2 0.7500 0.7500 0.7500
Nb1 0.0000 0.0000 0.0000
Sn1 0.5000 0.5000 0.5000
O1 0.7496 0.2504 0.2504
O2 0.2504 0.7496 0.7496
O3 0.7496 0.2504 0.7496
O4 0.2504 0.7496 0.2504
O5 0.7496 0.7496 0.2504
O6 0.2504 0.2504 0.7496

=====

# 5
Computed, not measured: an optimized crystal structure of PrH6C3O9 at the PBE level of DFT.

Computed properties:
E_tot: -0.48214 Ry per atom
energy above the most stable polymorph in this dataset: 0.10 eV/f.u.
ΔH_f (0 K): -33.47 eV/f.u.
ρ: 2.6 Mg/m³

Cell lengths 6.1399, 7.7960, 9.0229 Å; angles 98.88, 98.43, 97.65 degrees
Element x y z (fractional)
Pr1 0.4873 0.1953 0.2054
Pr2 0.5127 0.8047 0.7946
H1 0.1447 0.7603 0.4959
H2 0.8553 0.2397 0.5041
H3 0.3006 0.8182 0.2821
H4 0.6994 0.1818 0.7179
H5 0.4568 0.1152 0.6222
H6 0.5432 0.8848 0.3778
H7 0.0811 0.3893 0.7041
H8 0.9189 0.6106 0.2959
H9 0.9477 0.1504 0.3570
H10 0.0523 0.8496 0.6430
H11 0.1109 0.5508 0.2097
H12 0.8891 0.4492 0.7903
C1 0.4201 0.4341 0.5314
C2 0.5799 0.5659 0.4686
C3 0.3816 0.5166 0.0138
C4 0.6184 0.4834 0.9862
C5 0.9449 0.0300 0.0694
C6 0.0551 0.9700 0.9306
O1 0.2832 0.4180 0.0917
O2 0.7168 0.5820 0.9083
O3 0.0779 0.6417 0.2891
O4 0.9221 0.3583 0.7109
O5 0.6952 0.3610 0.0426
O6 0.3048 0.6390 0.9574
O7 0.3741 0.2776 0.4589
O8 0.6259 0.7224 0.5411
O9 0.0749 0.1031 0.1909
O10 0.9251 0.8969 0.8091
O11 0.2667 0.9992 0.9495
O12 0.7333 0.0008 0.0505
O13 0.3494 0.4926 0.6509
O14 0.6506 0.5074 0.3491
O15 0.8130 0.1645 0.4030
O16 0.1870 0.8355 0.5970
O17 0.5611 0.0978 0.7097
O18 0.4389 0.9022 0.2903

=====

# 6
Computed, not measured: an optimized crystal structure of CsP2H3N at the PBE level of DFT.

Computed properties:
E_tot: -0.34379 Ry per atom
ΔH_f (0 K): -2.87 eV/f.u.
ρ: 2.4 Mg/m³

Cell lengths 6.9561, 13.2202, 6.6738 Å; angles 90.00, 106.19, 90.00 degrees
Element x y z (fractional)
Cs1 0.7653 0.6206 0.3116
Cs2 0.2347 0.1206 0.1884
Cs3 0.2347 0.3794 0.6884
Cs4 0.7653 0.8794 0.8116
P1 0.2069 0.5237 0.1432
P2 0.7931 0.0237 0.3568
P3 0.7931 0.4763 0.8568
P4 0.2069 0.9763 0.6432
P5 0.9993 0.8987 0.3889
P6 0.0007 0.3987 0.1111
P7 0.0007 0.1013 0.6111
P8 0.9993 0.6013 0.8889
H1 0.3215 0.7642 0.1418
H2 0.6785 0.2642 0.3582
H3 0.6785 0.2358 0.8582
H4 0.3215 0.7358 0.6418
H5 0.3536 0.8540 0.9858
H6 0.6464 0.3540 0.5142
H7 0.6464 0.1460 0.0142
H8 0.3536 0.6460 0.4858
H9 0.4844 0.8533 0.2315
H10 0.5156 0.3533 0.2685
H11 0.5156 0.1467 0.7685
H12 0.4844 0.6467 0.7315
N1 0.4293 0.8071 0.1057
N2 0.5707 0.3071 0.3943
N3 0.5707 0.1929 0.8943
N4 0.4293 0.6929 0.6057

=====

# 7
Computed, not measured: an optimized crystal structure of NaMg30BO31 at the PBE level of DFT.

Computed properties:
E_tot: -0.43270 Ry per atom
energy above the most stable polymorph in this dataset: 0.14 eV/f.u.
ΔH_f (0 K): -182.79 eV/f.u.
ρ: 3.4 Mg/m³

Cell lengths 8.3825, 8.5747, 8.6446 Å; angles 90.00, 90.00, 90.00 degrees
Element x y z (fractional)
Na1 0.0000 0.0028 0.0000
Mg1 0.0000 0.0017 0.5000
Mg2 0.5000 0.0036 0.5000
Mg3 0.0000 0.5016 0.0000
Mg4 0.5000 0.5013 0.0000
Mg5 0.0000 0.4998 0.5000
Mg6 0.5000 0.4987 0.5000
Mg7 0.2563 0.0003 0.2566
Mg8 0.7437 0.0003 0.2566
Mg9 0.2563 0.0003 0.7434
Mg10 0.7437 0.0003 0.7434
Mg11 0.2502 0.5013 0.2502
Mg12 0.7498 0.5013 0.2502
Mg13 0.2502 0.5013 0.7498
Mg14 0.7498 0.5013 0.7498
Mg15 0.2487 0.7489 0.0000
Mg16 0.7513 0.7489 0.0000
Mg17 0.2481 0.7503 0.5000
Mg18 0.7519 0.7503 0.5000
Mg19 0.2592 0.2568 0.0000
Mg20 0.7408 0.2568 0.0000
Mg21 0.2503 0.2509 0.5000
Mg22 0.7497 0.2509 0.5000
Mg23 0.0000 0.7532 0.2488
Mg24 0.5000 0.7541 0.2607
Mg25 0.0000 0.7532 0.7512
Mg26 0.5000 0.7541 0.7393
Mg27 0.0000 0.2485 0.2469
Mg28 0.5000 0.2451 0.2425
Mg29 0.0000 0.2485 0.7531
Mg30 0.5000 0.2451 0.7575
B1 0.5000 0.9296 0.0000
O1 0.0000 0.7449 0.0000
O2 0.0000 0.7487 0.5000
O3 0.5000 0.7466 0.5000
O4 0.0000 0.2602 0.0000
O5 0.5000 0.2728 0.0000
O6 0.0000 0.2526 0.5000
O7 0.5000 0.2545 0.5000
O8 0.2506 0.7527 0.2475
O9 0.7494 0.7527 0.2475
O10 0.2506 0.7527 0.7525
O11 0.7494 0.7527 0.7525
O12 0.2506 0.2482 0.2458
O13 0.7494 0.2482 0.2458
O14 0.2506 0.2482 0.7542
O15 0.7494 0.2482 0.7542
O16 0.3366 0.9874 0.0000
O17 0.6634 0.9874 0.0000
O18 0.2482 0.0007 0.5000
O19 0.7518 0.0007 0.5000
O20 0.2524 0.5076 0.0000
O21 0.7476 0.5076 0.0000
O22 0.2500 0.5005 0.5000
O23 0.7500 0.5005 0.5000
O24 0.0000 0.0005 0.2568
O25 0.5000 0.9983 0.2697
O26 0.0000 0.0005 0.7432
O27 0.5000 0.9983 0.7303
O28 0.0000 0.5012 0.2508
O29 0.5000 0.5065 0.2494
O30 0.0000 0.5012 0.7492
O31 0.5000 0.5065 0.7506

=====

# 8
Computed, not measured: an optimized crystal structure of LiHfIr2 at the PBE level of DFT.

Computed properties:
E_tot: -0.59394 Ry per atom
ΔH_f (0 K): -2.78 eV/f.u.
ρ: 15.4 Mg/m³

Cell lengths 4.4300, 4.4300, 4.4300 Å; angles 60.00, 60.00, 60.00 degrees
Element x y z (fractional)
Li1 0.0000 0.0000 0.0000
Hf1 0.5000 0.5000 0.5000
Ir1 0.2500 0.2500 0.2500
Ir2 0.7500 0.7500 0.7500

=====

# 9
Computed, not measured: an optimized crystal structure of Ta4Ni2N at the PBE level of DFT.

Computed properties:
E_tot: -0.75261 Ry per atom
ΔH_f (0 K): -4.71 eV/f.u.
ρ: 14.5 Mg/m³

Cell lengths 8.2147, 8.2147, 8.2147 Å; angles 60.00, 60.00, 60.00 degrees
Element x y z (fractional)
Ta1 0.1250 0.6250 0.6250
Ta2 0.6250 0.1250 0.6250
Ta3 0.6250 0.6250 0.1250
Ta4 0.6250 0.6250 0.6250
Ta5 0.8158 0.8158 0.1842
Ta6 0.1842 0.1842 0.8158
Ta7 0.8158 0.1842 0.8158
Ta8 0.1842 0.8158 0.1842
Ta9 0.1842 0.8158 0.8158
Ta10 0.8158 0.1842 0.1842
Ta11 0.4342 0.4342 0.0658
Ta12 0.0658 0.0658 0.4342
Ta13 0.4342 0.0658 0.4342
Ta14 0.0658 0.4342 0.0658
Ta15 0.0658 0.4342 0.4342
Ta16 0.4342 0.0658 0.0658
Ni1 0.7427 0.4191 0.4191
Ni2 0.4191 0.7427 0.4191
Ni3 0.4191 0.4191 0.7427
Ni4 0.4191 0.4191 0.4191
Ni5 0.5073 0.8309 0.8309
Ni6 0.8309 0.5073 0.8309
Ni7 0.8309 0.8309 0.5073
Ni8 0.8309 0.8309 0.8309
N1 0.6250 0.1250 0.1250
N2 0.1250 0.6250 0.1250
N3 0.1250 0.1250 0.6250
N4 0.1250 0.1250 0.1250

=====

# 10
Computed, not measured: an optimized crystal structure of Hf2CuSi4 at the PBE level of DFT.

Computed properties:
E_tot: -0.51325 Ry per atom
ΔH_f (0 K): -2.88 eV/f.u.
ρ: 8.1 Mg/m³

Cell lengths 16.3753, 16.3753, 3.6643 Å; angles 90.00, 90.00, 167.09 degrees
Element x y z (fractional)
Hf1 0.9529 0.0471 0.7500
Hf2 0.0471 0.9529 0.2500
Hf3 0.6766 0.3234 0.7500
Hf4 0.3234 0.6766 0.2500
Cu1 0.2501 0.7499 0.7500
Cu2 0.7499 0.2501 0.2500
Si1 0.5244 0.4756 0.7500
Si2 0.4756 0.5244 0.2500
Si3 0.3874 0.6126 0.7500
Si4 0.6126 0.3874 0.2500
Si5 0.1129 0.8871 0.7500
Si6 0.8871 0.1129 0.2500
Si7 0.7979 0.2021 0.7500
Si8 0.2021 0.7979 0.2500

=====

# 11
Computed, not measured: an optimized crystal structure of LaVS3 at the PBE level of DFT.

Computed properties:
E_tot: -0.50261 Ry per atom
ΔH_f (0 K): -9.27 eV/f.u.
ρ: 4.8 Mg/m³

Cell lengths 3.8371, 7.8065, 13.2331 Å; angles 90.00, 90.00, 90.00 degrees
Element x y z (fractional)
La1 0.2500 0.9222 0.1683
La2 0.7500 0.0778 0.8317
La3 0.7500 0.5778 0.6683
La4 0.2500 0.4222 0.3317
V1 0.2500 0.6407 0.9536
V2 0.7500 0.3593 0.0464
V3 0.7500 0.8593 0.4536
V4 0.2500 0.1407 0.5464
S1 0.2500 0.5219 0.1128
S2 0.7500 0.4781 0.8872
S3 0.7500 0.9781 0.6128
S4 0.2500 0.0219 0.3872
S5 0.2500 0.6699 0.5048
S6 0.7500 0.3301 0.4952
S7 0.7500 0.8301 0.0048
S8 0.2500 0.1699 0.9952
S9 0.2500 0.7939 0.7894
S10 0.7500 0.2061 0.2106
S11 0.7500 0.7061 0.2894
S12 0.2500 0.2939 0.7106

=====

# 12
Computed, not measured: an optimized crystal structure of Ba3Cl2O2 at the PBE level of DFT.

Computed properties:
E_tot: -0.38646 Ry per atom
energy above the most stable polymorph in this dataset: 0.17 eV/f.u.
ΔH_f (0 K): -18.83 eV/f.u.
ρ: 3.9 Mg/m³

Cell lengths 10.6003, 12.3603, 14.3740 Å; angles 67.89, 90.00, 90.00 degrees
Element x y z (fractional)
Ba1 0.8238 0.0219 0.3654
Ba2 0.4137 0.0963 0.3775
Ba3 0.1114 0.2033 0.1470
Ba4 0.6762 0.0219 0.8654
Ba5 0.4782 0.3345 0.0779
Ba6 0.0863 0.0963 0.8775
Ba7 0.3886 0.2033 0.6470
Ba8 0.9342 0.4335 0.2687
Ba9 0.0218 0.3345 0.5779
Ba10 0.1576 0.5704 0.0157
Ba11 0.6576 0.4296 0.4843
Ba12 0.4342 0.5665 0.2313
Ba13 0.5658 0.4335 0.7687
Ba14 0.3424 0.5704 0.5157
Ba15 0.8424 0.4296 0.9843
Ba16 0.9782 0.6655 0.4221
Ba17 0.0658 0.5665 0.7313
Ba18 0.6114 0.7967 0.3530
Ba19 0.9137 0.9037 0.1225
Ba20 0.5218 0.6655 0.9221
Ba21 0.3238 0.9781 0.1346
Ba22 0.8886 0.7967 0.8530
Ba23 0.5863 0.9037 0.6225
Ba24 0.1762 0.9781 0.6346
Cl1 0.7853 0.1516 0.1272
Cl2 0.0660 0.1596 0.3868
Cl3 0.7147 0.1516 0.6272
Cl4 0.6192 0.3254 0.2977
Cl5 0.4340 0.1596 0.8868
Cl6 0.2680 0.3834 0.4136
Cl7 0.8808 0.3254 0.7977
Cl8 0.7680 0.6166 0.0864
Cl9 0.2320 0.3834 0.9136
Cl10 0.1192 0.6746 0.2023
Cl11 0.7320 0.6166 0.5864
Cl12 0.5660 0.8404 0.1132
Cl13 0.3808 0.6746 0.7023
Cl14 0.2853 0.8484 0.3728
Cl15 0.9340 0.8404 0.6132
Cl16 0.2147 0.8484 0.8728
O1 0.1066 0.0365 0.0733
O2 0.3441 0.1494 0.1850
O3 0.3934 0.0365 0.5733
O4 0.1559 0.1494 0.6850
O5 0.0226 0.4024 0.1186
O6 0.3912 0.5262 0.0737
O7 0.8912 0.4738 0.4263
O8 0.4774 0.4024 0.6186
O9 0.5226 0.5976 0.3814
O10 0.1088 0.5262 0.5737
O11 0.6088 0.4738 0.9263
O12 0.9774 0.5976 0.8814
O13 0.8441 0.8506 0.3150
O14 0.6066 0.9635 0.4267
O15 0.6559 0.8506 0.8150
O16 0.8934 0.9635 0.9267

=====

# 13
Computed, not measured: an optimized crystal structure of MgI2O10 at the PBE level of DFT.

Computed properties:
E_tot: -0.29509 Ry per atom
ΔH_f (0 K): -4.94 eV/f.u.
ρ: 3.8 Mg/m³

Cell lengths 5.5752, 8.6221, 8.0673 Å; angles 88.70, 90.00, 90.00 degrees
Element x y z (fractional)
Mg1 0.5000 0.5000 0.5000
Mg2 0.0000 0.5000 0.0000
I1 0.3098 0.1620 0.9447
I2 0.8098 0.8380 0.5553
I3 0.6902 0.8380 0.0553
I4 0.1902 0.1620 0.4447
O1 0.4000 0.8628 0.9489
O2 0.9000 0.1372 0.5511
O3 0.6000 0.1372 0.0511
O4 0.1000 0.8628 0.4489
O5 0.4103 0.1568 0.7249
O6 0.9103 0.8432 0.7751
O7 0.5897 0.8432 0.2751
O8 0.0897 0.1568 0.2249
O9 0.3042 0.3746 0.9632
O10 0.8042 0.6254 0.5368
O11 0.6958 0.6254 0.0368
O12 0.1958 0.3746 0.4632
O13 0.1319 0.7080 0.0969
O14 0.6319 0.2920 0.4031
O15 0.8681 0.2920 0.9031
O16 0.3681 0.7080 0.5969
O17 0.1196 0.6219 0.7679
O18 0.6196 0.3781 0.7321
O19 0.8804 0.3781 0.2321
O20 0.3804 0.6219 0.2679